Record 1
A plane-wave DFT calculation with GGA-PBE was carried out for a relaxed LuAlGe crystal.

The total energy comes out at -4.897 eV per atom. As for the formation energy: -0.601 eV/atom.

Cell lengths 5.502, 5.502, 5.673 Å; angles 90.00, 90.00, 136.96 degrees
Positions (direct):
Lu (0.190, 0.810, 0.750)
Lu (0.810, 0.190, 0.250)
Al (0.500, 0.500, 0.000)
Al (0.500, 0.500, 0.500)
Ge (0.108, 0.892, 0.250)
Ge (0.892, 0.108, 0.750)

Record 2
A plane-wave DFT calculation with GGA-PBE was carried out for a relaxed Mg2Sn crystal.

The total energy comes out at -2.430 eV per atom. As for the formation energy: -0.026 eV/atom.

Cell lengths 6.113, 6.113, 7.671 Å; angles 107.25, 107.25, 32.00 degrees
Positions (direct):
Mg (0.026, 0.026, 0.306)
Mg (0.305, 0.305, 0.363)
Mg (0.695, 0.695, 0.637)
Mg (0.974, 0.974, 0.694)
Sn (0.361, 0.361, 0.968)
Sn (0.639, 0.639, 0.032)

Record 3
A plane-wave DFT calculation with GGA-PBE was carried out for a relaxed SiO2 crystal.

The total energy comes out at -7.653 eV per atom. The total energy after the MP2020 corrections is -1168.04 eV/cell. As for the formation energy: -3.004 eV/atom.

Cell lengths 15.311, 15.311, 15.311 Å; angles 60.00, 60.00, 60.00 degrees
Positions (direct):
Si (0.017, 0.340, 0.801)
Si (0.017, 0.801, 0.841)
Si (0.017, 0.841, 0.340)
Si (0.159, 0.199, 0.660)
Si (0.159, 0.660, 0.983)
Si (0.159, 0.983, 0.199)
Si (0.160, 0.483, 0.699)
Si (0.160, 0.659, 0.483)
Si (0.160, 0.699, 0.659)
Si (0.199, 0.159, 0.983)
Si (0.199, 0.660, 0.159)
Si (0.199, 0.983, 0.660)
Si (0.301, 0.341, 0.840)
Si (0.301, 0.517, 0.341)
Si (0.301, 0.840, 0.517)
Si (0.340, 0.017, 0.841)
Si (0.340, 0.801, 0.017)
Si (0.340, 0.841, 0.801)
Si (0.341, 0.301, 0.517)
Si (0.341, 0.517, 0.840)
Si (0.341, 0.840, 0.301)
Si (0.483, 0.160, 0.659)
Si (0.483, 0.659, 0.699)
Si (0.483, 0.699, 0.160)
Si (0.517, 0.301, 0.840)
Si (0.517, 0.341, 0.301)
Si (0.517, 0.840, 0.341)
Si (0.659, 0.160, 0.699)
Si (0.659, 0.483, 0.160)
Si (0.659, 0.699, 0.483)
Si (0.660, 0.159, 0.199)
Si (0.660, 0.199, 0.983)
Si (0.660, 0.983, 0.159)
Si (0.699, 0.160, 0.483)
Si (0.699, 0.483, 0.659)
Si (0.699, 0.659, 0.160)
Si (0.801, 0.017, 0.340)
Si (0.801, 0.340, 0.841)
Si (0.801, 0.841, 0.017)
Si (0.840, 0.301, 0.341)
Si (0.840, 0.341, 0.517)
Si (0.840, 0.517, 0.301)
Si (0.841, 0.017, 0.801)
Si (0.841, 0.340, 0.017)
Si (0.841, 0.801, 0.340)
Si (0.983, 0.159, 0.660)
Si (0.983, 0.199, 0.159)
Si (0.983, 0.660, 0.199)
O (0.042, 0.076, 0.224)
O (0.042, 0.224, 0.658)
O (0.042, 0.658, 0.076)
O (0.059, 0.441, 0.750)
O (0.059, 0.750, 0.441)
O (0.059, 0.750, 0.750)
O (0.076, 0.042, 0.658)
O (0.076, 0.224, 0.042)
O (0.076, 0.658, 0.224)
O (0.121, 0.242, 0.758)
O (0.121, 0.758, 0.879)
O (0.121, 0.879, 0.242)
O (0.158, 0.542, 0.576)
O (0.158, 0.576, 0.724)
O (0.158, 0.724, 0.542)
O (0.224, 0.042, 0.076)
O (0.224, 0.076, 0.658)
O (0.224, 0.658, 0.042)
O (0.242, 0.121, 0.879)
O (0.242, 0.758, 0.121)
O (0.242, 0.879, 0.758)
O (0.250, 0.250, 0.559)
O (0.250, 0.250, 0.941)
O (0.250, 0.559, 0.250)
O (0.250, 0.559, 0.941)
O (0.250, 0.941, 0.250)
O (0.250, 0.941, 0.559)
O (0.258, 0.379, 0.742)
O (0.258, 0.621, 0.379)
O (0.258, 0.742, 0.621)
O (0.276, 0.424, 0.458)
O (0.276, 0.458, 0.842)
O (0.276, 0.842, 0.424)
O (0.342, 0.776, 0.924)
O (0.342, 0.924, 0.958)
O (0.342, 0.958, 0.776)
O (0.379, 0.258, 0.621)
O (0.379, 0.621, 0.742)
O (0.379, 0.742, 0.258)
O (0.424, 0.276, 0.842)
O (0.424, 0.458, 0.276)
O (0.424, 0.842, 0.458)
O (0.441, 0.059, 0.750)
O (0.441, 0.750, 0.059)
O (0.441, 0.750, 0.750)
O (0.458, 0.276, 0.424)
O (0.458, 0.424, 0.842)
O (0.458, 0.842, 0.276)
O (0.542, 0.158, 0.724)
O (0.542, 0.576, 0.158)
O (0.542, 0.724, 0.576)
O (0.559, 0.250, 0.250)
O (0.559, 0.250, 0.941)
O (0.559, 0.941, 0.250)
O (0.576, 0.158, 0.542)
O (0.576, 0.542, 0.724)
O (0.576, 0.724, 0.158)
O (0.621, 0.258, 0.742)
O (0.621, 0.379, 0.258)
O (0.621, 0.742, 0.379)
O (0.658, 0.042, 0.224)
O (0.658, 0.076, 0.042)
O (0.658, 0.224, 0.076)
O (0.724, 0.158, 0.576)
O (0.724, 0.542, 0.158)
O (0.724, 0.576, 0.542)
O (0.742, 0.258, 0.379)
O (0.742, 0.379, 0.621)
O (0.742, 0.621, 0.258)
O (0.750, 0.059, 0.441)
O (0.750, 0.059, 0.750)
O (0.750, 0.441, 0.059)
O (0.750, 0.441, 0.750)
O (0.750, 0.750, 0.059)
O (0.750, 0.750, 0.441)
O (0.758, 0.121, 0.242)
O (0.758, 0.242, 0.879)
O (0.758, 0.879, 0.121)
O (0.776, 0.342, 0.958)
O (0.776, 0.924, 0.342)
O (0.776, 0.958, 0.924)
O (0.842, 0.276, 0.458)
O (0.842, 0.424, 0.276)
O (0.842, 0.458, 0.424)
O (0.879, 0.121, 0.758)
O (0.879, 0.242, 0.121)
O (0.879, 0.758, 0.242)
O (0.924, 0.342, 0.776)
O (0.924, 0.776, 0.958)
O (0.924, 0.958, 0.342)
O (0.941, 0.250, 0.250)
O (0.941, 0.250, 0.559)
O (0.941, 0.559, 0.250)
O (0.958, 0.342, 0.924)
O (0.958, 0.776, 0.342)
O (0.958, 0.924, 0.776)

Record 4
A plane-wave DFT calculation with GGA-PBE was carried out for a relaxed LaS2 crystal.

The total energy comes out at -6.266 eV per atom. The total energy after the MP2020 corrections is -158.43 eV/cell. As for the formation energy: -2.198 eV/atom.

Cell lengths 8.172, 16.408, 4.159 Å; angles 90.00, 90.00, 90.00 degrees
Positions (direct):
La (0.130, 0.111, 0.217)
La (0.130, 0.389, 0.217)
La (0.370, 0.611, 0.717)
La (0.370, 0.889, 0.717)
La (0.630, 0.111, 0.283)
La (0.630, 0.389, 0.283)
La (0.870, 0.611, 0.783)
La (0.870, 0.889, 0.783)
S (0.100, 0.250, 0.660)
S (0.107, 0.750, 0.644)
S (0.126, 0.567, 0.238)
S (0.126, 0.933, 0.238)
S (0.374, 0.067, 0.738)
S (0.374, 0.433, 0.738)
S (0.393, 0.250, 0.144)
S (0.400, 0.750, 0.160)
S (0.600, 0.250, 0.840)
S (0.607, 0.750, 0.856)
S (0.626, 0.567, 0.262)
S (0.626, 0.933, 0.262)
S (0.874, 0.067, 0.762)
S (0.874, 0.433, 0.762)
S (0.893, 0.250, 0.356)
S (0.900, 0.750, 0.340)

Record 5
A plane-wave DFT calculation with GGA-PBE was carried out for a relaxed Mg41Al67 crystal.

The total energy comes out at -2.902 eV per atom. As for the formation energy: 0.029 eV/atom.

Cell lengths 12.648, 12.648, 12.648 Å; angles 90.00, 90.00, 90.00 degrees
Positions (direct):
Mg (0.000, 0.000, 0.177)
Mg (0.000, 0.000, 0.500)
Mg (0.000, 0.000, 0.823)
Mg (0.000, 0.177, 0.000)
Mg (0.000, 0.500, 0.000)
Mg (0.000, 0.823, 0.000)
Mg (0.167, 0.339, 0.339)
Mg (0.167, 0.339, 0.661)
Mg (0.167, 0.661, 0.339)
Mg (0.167, 0.661, 0.661)
Mg (0.169, 0.169, 0.169)
Mg (0.169, 0.169, 0.831)
Mg (0.169, 0.831, 0.169)
Mg (0.169, 0.831, 0.831)
Mg (0.177, 0.000, 0.000)
Mg (0.339, 0.167, 0.339)
Mg (0.339, 0.167, 0.661)
Mg (0.339, 0.339, 0.167)
Mg (0.339, 0.339, 0.833)
Mg (0.339, 0.661, 0.167)
Mg (0.339, 0.661, 0.833)
Mg (0.339, 0.833, 0.339)
Mg (0.339, 0.833, 0.661)
Mg (0.500, 0.000, 0.000)
Mg (0.661, 0.167, 0.339)
Mg (0.661, 0.167, 0.661)
Mg (0.661, 0.339, 0.167)
Mg (0.661, 0.339, 0.833)
Mg (0.661, 0.661, 0.167)
Mg (0.661, 0.661, 0.833)
Mg (0.661, 0.833, 0.339)
Mg (0.661, 0.833, 0.661)
Mg (0.823, 0.000, 0.000)
Mg (0.831, 0.169, 0.169)
Mg (0.831, 0.169, 0.831)
Mg (0.831, 0.831, 0.169)
Mg (0.831, 0.831, 0.831)
Mg (0.833, 0.339, 0.339)
Mg (0.833, 0.339, 0.661)
Mg (0.833, 0.661, 0.339)
Mg (0.833, 0.661, 0.661)
Al (0.000, 0.171, 0.337)
Al (0.000, 0.171, 0.663)
Al (0.000, 0.332, 0.500)
Al (0.000, 0.337, 0.171)
Al (0.000, 0.337, 0.829)
Al (0.000, 0.500, 0.332)
Al (0.000, 0.500, 0.668)
Al (0.000, 0.663, 0.171)
Al (0.000, 0.663, 0.829)
Al (0.000, 0.668, 0.500)
Al (0.000, 0.829, 0.337)
Al (0.000, 0.829, 0.663)
Al (0.167, 0.167, 0.500)
Al (0.167, 0.500, 0.167)
Al (0.167, 0.500, 0.833)
Al (0.167, 0.833, 0.500)
Al (0.171, 0.000, 0.337)
Al (0.171, 0.000, 0.663)
Al (0.171, 0.337, 0.000)
Al (0.171, 0.663, 0.000)
Al (0.173, 0.500, 0.500)
Al (0.332, 0.000, 0.500)
Al (0.332, 0.500, 0.000)
Al (0.337, 0.000, 0.171)
Al (0.337, 0.000, 0.829)
Al (0.337, 0.171, 0.000)
Al (0.337, 0.829, 0.000)
Al (0.339, 0.339, 0.500)
Al (0.339, 0.500, 0.339)
Al (0.339, 0.500, 0.661)
Al (0.339, 0.661, 0.500)
Al (0.500, 0.000, 0.332)
Al (0.500, 0.000, 0.668)
Al (0.500, 0.167, 0.167)
Al (0.500, 0.167, 0.833)
Al (0.500, 0.173, 0.500)
Al (0.500, 0.332, 0.000)
Al (0.500, 0.339, 0.339)
Al (0.500, 0.339, 0.661)
Al (0.500, 0.500, 0.173)
Al (0.500, 0.500, 0.500)
Al (0.500, 0.500, 0.827)
Al (0.500, 0.661, 0.339)
Al (0.500, 0.661, 0.661)
Al (0.500, 0.668, 0.000)
Al (0.500, 0.827, 0.500)
Al (0.500, 0.833, 0.167)
Al (0.500, 0.833, 0.833)
Al (0.661, 0.339, 0.500)
Al (0.661, 0.500, 0.339)
Al (0.661, 0.500, 0.661)
Al (0.661, 0.661, 0.500)
Al (0.663, 0.000, 0.171)
Al (0.663, 0.000, 0.829)
Al (0.663, 0.171, 0.000)
Al (0.663, 0.829, 0.000)
Al (0.668, 0.000, 0.500)
Al (0.668, 0.500, 0.000)
Al (0.827, 0.500, 0.500)
Al (0.829, 0.000, 0.337)
Al (0.829, 0.000, 0.663)
Al (0.829, 0.337, 0.000)
Al (0.829, 0.663, 0.000)
Al (0.833, 0.167, 0.500)
Al (0.833, 0.500, 0.167)
Al (0.833, 0.500, 0.833)
Al (0.833, 0.833, 0.500)

Record 6
A plane-wave DFT calculation with GGA-PBE was carried out for a relaxed MgSi2 crystal.

The value obtained for the energy relative to the lowest polymorph listed for this composition is 51 kJ/mol of formula units. The total energy comes out at -3.945 eV per atom. The total energy after the MP2020 corrections is -46.77 eV/cell. As for the formation energy: 0.253 eV/atom.

Cell lengths 9.996, 9.996, 5.861 Å; angles 91.17, 91.17, 20.69 degrees
Positions (direct):
Mg (0.000, 0.000, 0.000)
Mg (0.395, 0.395, 0.240)
Mg (0.586, 0.586, 0.713)
Mg (0.757, 0.757, 0.229)
Si (0.154, 0.154, 0.016)
Si (0.161, 0.161, 0.442)
Si (0.300, 0.300, 0.586)
Si (0.431, 0.431, 0.705)
Si (0.587, 0.587, 0.239)
Si (0.731, 0.731, 0.753)
Si (0.855, 0.855, 0.883)
Si (0.991, 0.991, 0.477)

Record 7
A plane-wave DFT calculation with GGA-PBE was carried out for a relaxed Mg14CoSi crystal.

The value obtained for the energy relative to the lowest polymorph listed for this composition is 0 kJ/mol of formula units. The total energy comes out at -2.112 eV per atom. The total energy after the MP2020 corrections is -33.73 eV/cell. As for the formation energy: 0.076 eV/atom.

Cell lengths 9.920, 6.196, 6.196 Å; angles 60.86, 90.00, 90.00 degrees
Positions (direct):
Mg (0.000, 0.000, 0.000)
Mg (0.000, 0.005, 0.503)
Mg (0.000, 0.500, 0.500)
Mg (0.000, 0.503, 0.005)
Mg (0.250, 0.670, 0.670)
Mg (0.257, 0.166, 0.166)
Mg (0.281, 0.172, 0.682)
Mg (0.281, 0.682, 0.172)
Mg (0.500, 0.483, 0.985)
Mg (0.500, 0.985, 0.483)
Mg (0.719, 0.172, 0.682)
Mg (0.719, 0.682, 0.172)
Mg (0.743, 0.166, 0.166)
Mg (0.750, 0.670, 0.670)
Co (0.500, 0.013, 0.013)
Si (0.500, 0.511, 0.511)

Record 8
A plane-wave DFT calculation with GGA-PBE was carried out for a relaxed Rb4Nb2S10O crystal.

The total energy comes out at -5.185 eV per atom. The total energy after the MP2020 corrections is -375.43 eV/cell. As for the formation energy: -1.378 eV/atom.

Cell lengths 13.235, 7.965, 18.478 Å; angles 90.00, 90.00, 90.00 degrees
Positions (direct):
Rb (0.063, 0.209, 0.000)
Rb (0.094, 0.147, 0.704)
Rb (0.234, 0.666, 0.632)
Rb (0.239, 0.816, 0.866)
Rb (0.261, 0.816, 0.366)
Rb (0.266, 0.666, 0.132)
Rb (0.406, 0.147, 0.204)
Rb (0.437, 0.209, 0.500)
Rb (0.563, 0.791, 0.000)
Rb (0.594, 0.853, 0.704)
Rb (0.734, 0.334, 0.632)
Rb (0.739, 0.184, 0.866)
Rb (0.761, 0.184, 0.366)
Rb (0.766, 0.334, 0.132)
Rb (0.906, 0.853, 0.204)
Rb (0.937, 0.791, 0.500)
Nb (0.041, 0.258, 0.273)
Nb (0.103, 0.219, 0.460)
Nb (0.397, 0.219, 0.960)
Nb (0.459, 0.258, 0.773)
Nb (0.541, 0.742, 0.273)
Nb (0.603, 0.781, 0.460)
Nb (0.897, 0.781, 0.960)
Nb (0.959, 0.742, 0.773)
S (0.009, 0.546, 0.873)
S (0.013, 0.037, 0.369)
S (0.040, 0.406, 0.561)
S (0.064, 0.566, 0.285)
S (0.067, 0.753, 0.015)
S (0.152, 0.039, 0.217)
S (0.160, 0.272, 0.167)
S (0.175, 0.009, 0.526)
S (0.228, 0.256, 0.360)
S (0.237, 0.429, 0.444)
S (0.263, 0.429, 0.944)
S (0.272, 0.256, 0.860)
S (0.325, 0.009, 0.026)
S (0.340, 0.272, 0.667)
S (0.348, 0.039, 0.717)
S (0.433, 0.753, 0.515)
S (0.436, 0.566, 0.785)
S (0.460, 0.406, 0.061)
S (0.487, 0.037, 0.869)
S (0.491, 0.546, 0.373)
S (0.509, 0.454, 0.873)
S (0.513, 0.963, 0.369)
S (0.540, 0.594, 0.561)
S (0.564, 0.434, 0.285)
S (0.567, 0.247, 0.015)
S (0.652, 0.961, 0.217)
S (0.660, 0.728, 0.167)
S (0.675, 0.991, 0.526)
S (0.728, 0.744, 0.360)
S (0.737, 0.571, 0.444)
S (0.763, 0.571, 0.944)
S (0.772, 0.744, 0.860)
S (0.825, 0.991, 0.026)
S (0.840, 0.728, 0.667)
S (0.848, 0.961, 0.717)
S (0.933, 0.247, 0.515)
S (0.936, 0.434, 0.785)
S (0.960, 0.594, 0.061)
S (0.987, 0.963, 0.869)
S (0.991, 0.454, 0.373)
O (0.077, 0.771, 0.726)
O (0.423, 0.771, 0.226)
O (0.577, 0.229, 0.726)
O (0.923, 0.229, 0.226)